#i
The following is a PBE-GGA calculation of a relaxed structure of Na3Cl2, from the Materials Project.

Summary:
As for the crystal system: tetragonal. The total magnetic moment is 0.002 Bohr magnetons per cell.

abc: 8.0912 8.0912 3.7054
angles: 90.00 90.00 90.00
Last column: nearest neighbours and their distance in Å.
Positions (direct):
Cl (0.2025, 0.4046, 0.0000)  8 Na 2.95-3.23
Cl (0.4046, 0.7975, 0.0000)  8 Na 2.95-3.23
Na (0.1149, 0.6739, 0.5000)  6 Cl 2.95-3.23
Na (0.8851, 0.3261, 0.5000)  6 Cl 2.95-3.23
Cl (0.7975, 0.5954, 0.0000)  8 Na 2.95-3.23
Cl (0.5954, 0.2025, 0.0000)  8 Na 2.95-3.23
Na (0.6739, 0.8851, 0.5000)  6 Cl 2.95-3.23
Na (0.5000, 0.5000, 0.5000)  8 Cl 3.13, 4 Na 3.42
Na (0.3261, 0.1149, 0.5000)  6 Cl 2.95-3.23
Na (0.0000, 0.0000, 0.0000)  10 Na 3.36-3.71, 4 Cl 3.66

#ii
The following is a PBE-GGA calculation of a relaxed structure of Na3Cl2, from the Materials Project.

Summary:
As for the crystal system: orthorhombic. The total magnetic moment is 0.005 Bohr magnetons per cell.

abc: 10.3214 10.3214 3.5276
angles: 90.00 90.00 160.36
Last column: nearest neighbours and their distance in Å.
Positions (direct):
Na (0.3310, 0.6690, 0.0000)  4 Cl 3.00
Cl (0.9134, 0.0866, 0.5000)  8 Na 3.00-3.05
Na (0.5000, 0.5000, 0.0000)  8 Cl 3.05
Cl (0.0866, 0.9134, 0.5000)  8 Na 3.00-3.05
Na (0.6690, 0.3310, 0.0000)  4 Cl 3.00

#ii has the most favorable energy; the next structure is 55 meV/atom above.